[1]
First-principles (meta-GGA r2SCAN) data for a relaxed structure of YN, as listed in Materials Project.

Lattice parameters (Å, degrees): 3.463 3.463 3.463 60.00 60.00 60.00
Fractional coordinates of all 2 atoms:
Y 0.000 0.000 0.000
N 0.500 0.500 0.500

Energy of formation from the pure elements: -2.000 eV/atom
Space-group type: Fm-3m
VASP energy: -16.721 eV per atom
Total moment: 0.000 μB/atom

[2]
First-principles (meta-GGA r2SCAN) data for a relaxed structure of DyTmIr2, as listed in Materials Project.

Lattice parameters (Å, degrees): 4.786 4.786 4.786 60.00 60.00 60.00
Fractional coordinates of all 4 atoms:
Dy 0.000 0.000 0.000
Tm 0.500 0.500 0.500
Ir 0.250 0.250 0.250
Ir 0.750 0.750 0.750

Energy of formation from the pure elements: -0.995 eV/atom
Space-group type: Fm-3m
VASP energy: -43.951 eV per atom
Total moment: 0.051 μB/atom

[3]
First-principles (meta-GGA r2SCAN) data for a relaxed structure of Ca3CrN3, as listed in Materials Project.

Lattice parameters (Å, degrees): 6.638 6.638 5.029 90.00 90.00 100.94
Fractional coordinates of all 14 atoms:
Ca 0.107 0.893 0.750
Ca 0.167 0.402 0.750
Ca 0.402 0.167 0.250
Ca 0.598 0.833 0.750
Ca 0.833 0.598 0.250
Ca 0.893 0.107 0.250
Cr 0.306 0.694 0.250
Cr 0.694 0.306 0.750
N 0.126 0.874 0.250
N 0.180 0.435 0.250
N 0.435 0.180 0.750
N 0.565 0.820 0.250
N 0.820 0.565 0.750
N 0.874 0.126 0.750

Energy of formation from the pure elements: -1.096 eV/atom
Space-group type: Cmcm
VASP energy: -10.178 eV per atom
Total moment: 0.143 μB/atom

Question: Among the records above, which one has the highest VASP energy?
Answer: Ca3CrN3

Copy entry 3 word for word.
First-principles (meta-GGA r2SCAN) data for a relaxed structure of Ca3CrN3, as listed in Materials Project.

Lattice parameters (Å, degrees): 6.638 6.638 5.029 90.00 90.00 100.94
Fractional coordinates of all 14 atoms:
Ca 0.107 0.893 0.750
Ca 0.167 0.402 0.750
Ca 0.402 0.167 0.250
Ca 0.598 0.833 0.750
Ca 0.833 0.598 0.250
Ca 0.893 0.107 0.250
Cr 0.306 0.694 0.250
Cr 0.694 0.306 0.750
N 0.126 0.874 0.250
N 0.180 0.435 0.250
N 0.435 0.180 0.750
N 0.565 0.820 0.250
N 0.820 0.565 0.750
N 0.874 0.126 0.750

Energy of formation from the pure elements: -1.096 eV/atom
Space-group type: Cmcm
VASP energy: -10.178 eV per atom
Total moment: 0.143 μB/atom